1.
LiB5O13: relaxed, GGA-PBE.

Properties
Formation energy ... -1.546 eV per atom
Total DFT energy (no corrections) ... -126.9 eV per formula unit

Cell lengths 9.7569, 15.3469, 13.2832 Å; angles 90.00, 106.39, 90.00 degrees
With the nearest neighbours (Å) after each atom.
Space group C2/c (No. 15)
One atom of each set of equivalent atoms:
Li 0.0000 0.1030 0.2500 (multiplicity 4)  2 O 1.89
Li 0.0000 0.3513 0.7500 (multiplicity 4)  2 O 1.96
B 0.1272 0.5003 0.1773 (multiplicity 8)  3 O 1.36-1.41
B 0.1462 0.0791 0.4746 (multiplicity 8)  3 O 1.36-1.41
B 0.1463 0.3316 0.4538 (multiplicity 8)  3 O 1.37-1.40
B 0.2266 0.1136 0.8459 (multiplicity 8)  2 O 1.33-1.36
B 0.2415 0.0927 0.6682 (multiplicity 8)  4 O 1.46-1.49
O 0.0314 0.4338 0.6462 (multiplicity 8)  1 B 1.36
O 0.0472 0.2728 0.4671 (multiplicity 8)  1 B 1.37
O 0.0543 0.0503 0.3838 (multiplicity 8)  1 B 1.36
O 0.0774 0.2236 0.8838 (multiplicity 8)  1 O 1.31
O 0.1307 0.0678 0.5732 (multiplicity 8)  2 B 1.37-1.46
O 0.1517 0.1970 0.1891 (multiplicity 8)  1 O 1.23
O 0.1565 0.3454 0.3546 (multiplicity 8)  2 B 1.37-1.47
O 0.1689 0.1617 0.9230 (multiplicity 8)  1 O 1.31
O 0.1718 0.4456 0.1071 (multiplicity 8)  2 B 1.36-1.41
O 0.1757 0.1334 0.7448 (multiplicity 8)  2 B 1.33-1.49
O 0.1818 0.4874 0.2836 (multiplicity 8)  2 B 1.37-1.49
O 0.2368 0.3740 0.5409 (multiplicity 8)  2 B 1.40-1.41
O 0.2447 0.1626 0.1564 (multiplicity 8)  1 O 1.23

=====

2.
Li3BP2O8: relaxed, GGA-PBE.

Properties
Formation energy ... -2.745 eV per atom
Total DFT energy (no corrections) ... -95.8 eV per formula unit

Cell lengths 5.2498, 7.5003, 7.8316 Å; angles 101.16, 105.73, 90.07 degrees
With the nearest neighbours (Å) after each atom.
Space group P-1 (No. 2)
One atom of each set of equivalent atoms:
Li 0.1411 0.0262 0.3889 (multiplicity 2)  3 O 1.93-2.11
Li 0.2214 0.3686 0.6915 (multiplicity 2)  4 O 2.01-2.20
Li 0.3282 0.0163 0.8543 (multiplicity 2)  4 O 1.91-2.01
B 0.2580 0.4620 0.2315 (multiplicity 2)  4 O 1.46-1.50
P 0.1176 0.7507 0.0556 (multiplicity 2)  4 O 1.51-1.59
P 0.3728 0.7148 0.5475 (multiplicity 2)  4 O 1.52-1.60
O 0.0546 0.3152 0.1464 (multiplicity 2)  1 B 1.46, 1 P 1.58
O 0.0570 0.1932 0.8162 (multiplicity 2)  1 P 1.54
O 0.1814 0.5645 0.3932 (multiplicity 2)  1 B 1.50, 1 P 1.60
O 0.2040 0.8693 0.6008 (multiplicity 2)  1 P 1.52
O 0.2839 0.5832 0.1092 (multiplicity 2)  1 B 1.47, 1 P 1.59
O 0.3068 0.9034 0.0566 (multiplicity 2)  1 P 1.51
O 0.3985 0.2251 0.5161 (multiplicity 2)  1 P 1.52
O 0.4731 0.6116 0.7116 (multiplicity 2)  1 B 1.50, 1 P 1.60

=====

3.
Li2SnBPO7: relaxed, GGA-PBE.

Properties
Formation energy ... -2.509 eV per atom
Total DFT energy (no corrections) ... -79.8 eV per formula unit

Cell lengths 5.1780, 6.5071, 9.1169 Å; angles 90.00, 92.63, 90.00 degrees
With the nearest neighbours (Å) after each atom.
Space group P2_1/m (No. 11)
One atom of each set of equivalent atoms:
Li 0.2417 0.0279 0.3414 (multiplicity 4)  3 O 1.94-2.05
Sn 0.2227 0.7500 0.8374 (multiplicity 2)  6 O 2.05-2.10
B 0.2665 0.7500 0.5576 (multiplicity 2)  3 O 1.32-1.45
P 0.2753 0.2500 0.9297 (multiplicity 2)  4 O 1.54-1.56
O 0.0278 0.7500 0.6308 (multiplicity 2)  1 B 1.43
O 0.1491 0.2500 0.0806 (multiplicity 2)  1 P 1.55
O 0.1929 0.0643 0.8338 (multiplicity 4)  1 P 1.54
O 0.2910 0.7500 0.4138 (multiplicity 2)  1 B 1.32
O 0.4259 0.7500 0.0373 (multiplicity 2)  1 P 1.56
O 0.4784 0.7500 0.6666 (multiplicity 2)  1 B 1.45

=====

We obtain total energy after the MP2020 corrections values of -6.79 -7.23 -7.05 eV per atom for the records listed above, in that order.